(1)
Compound: V2Te2O7F2
Source: the Materials Project
Functional: GGA+U
Structure: optimized geometry

Calculated values
calculated total energy = -6.26 eV/atom

abc: 4.9565 5.3410 7.3190
angles: 71.18 88.62 89.83
Space group P-1 (No. 2)
Unique sites:
V 0.2388 0.1544 0.3636 x2
Te 0.2777 0.1851 0.8251 x2
O 0.0000 0.0000 0.0000 x1
O 0.0754 0.0912 0.6276 x2
O 0.1319 0.4497 0.2347 x2
O 0.4771 0.1059 0.1408 x2
F 0.4388 0.7629 0.5098 x2

(2)
Compound: Te4WO5F20
Source: the Materials Project
Functional: GGA+U
Structure: optimized geometry

Calculated values
calculated total energy = -4.63 eV/atom

abc: 9.9814 10.4834 10.8899
angles: 75.60 87.11 83.41
Space group P-1 (No. 2)
Unique sites:
Te 0.1751 0.3137 0.1478 x2
Te 0.2412 0.3736 0.6484 x2
Te 0.2727 0.8713 0.5873 x2
Te 0.2974 0.8136 0.0794 x2
W 0.2705 0.5880 0.8695 x2
O 0.2163 0.4661 0.7784 x2
O 0.2229 0.7306 0.7233 x2
O 0.2355 0.7145 0.9738 x2
O 0.2436 0.4504 0.0248 x2
O 0.4430 0.5695 0.8561 x2
F 0.0067 0.6114 0.8934 x2
F 0.0706 0.3159 0.6885 x2
F 0.1006 0.1814 0.2710 x2
F 0.1189 0.8662 0.1194 x2
F 0.1436 0.8335 0.4870 x2
F 0.1442 0.9888 0.6444 x2
F 0.1641 0.2119 0.0309 x2
F 0.1649 0.5220 0.5294 x2
F 0.1707 0.4145 0.2672 x2
F 0.2625 0.2797 0.5225 x2
F 0.2978 0.9619 0.9424 x2
F 0.3010 0.6678 0.2196 x2
F 0.3178 0.0093 0.4522 x2
F 0.3191 0.2231 0.7631 x2
F 0.3468 0.2329 0.1946 x2
F 0.3553 0.9137 0.1827 x2
F 0.4029 0.7562 0.5281 x2
F 0.4031 0.9125 0.6847 x2
F 0.4124 0.4303 0.6056 x2
F 0.4783 0.7628 0.0424 x2

Please write out number 1 again, unchanged.
Compound: V2Te2O7F2
Source: the Materials Project
Functional: GGA+U
Structure: optimized geometry

Calculated values
calculated total energy = -6.26 eV/atom

abc: 4.9565 5.3410 7.3190
angles: 71.18 88.62 89.83
Space group P-1 (No. 2)
Unique sites:
V 0.2388 0.1544 0.3636 x2
Te 0.2777 0.1851 0.8251 x2
O 0.0000 0.0000 0.0000 x1
O 0.0754 0.0912 0.6276 x2
O 0.1319 0.4497 0.2347 x2
O 0.4771 0.1059 0.1408 x2
F 0.4388 0.7629 0.5098 x2

Number 1 is which compound? V2Te2O7F2

Copy entry 1 word for word.
Compound: V2Te2O7F2
Source: the Materials Project
Functional: GGA+U
Structure: optimized geometry

Calculated values
calculated total energy = -6.26 eV/atom

abc: 4.9565 5.3410 7.3190
angles: 71.18 88.62 89.83
Space group P-1 (No. 2)
Unique sites:
V 0.2388 0.1544 0.3636 x2
Te 0.2777 0.1851 0.8251 x2
O 0.0000 0.0000 0.0000 x1
O 0.0754 0.0912 0.6276 x2
O 0.1319 0.4497 0.2347 x2
O 0.4771 0.1059 0.1408 x2
F 0.4388 0.7629 0.5098 x2

Repeat the first record exactly.
Compound: V2Te2O7F2
Source: the Materials Project
Functional: GGA+U
Structure: optimized geometry

Calculated values
calculated total energy = -6.26 eV/atom

abc: 4.9565 5.3410 7.3190
angles: 71.18 88.62 89.83
Space group P-1 (No. 2)
Unique sites:
V 0.2388 0.1544 0.3636 x2
Te 0.2777 0.1851 0.8251 x2
O 0.0000 0.0000 0.0000 x1
O 0.0754 0.0912 0.6276 x2
O 0.1319 0.4497 0.2347 x2
O 0.4771 0.1059 0.1408 x2
F 0.4388 0.7629 0.5098 x2